! Mn12O7F17 (PBE+U, optimized geometry); values from VASP
&SYSTEM
  ibrav = 0, nat = 36, ntyp = 3
/
ATOMIC_SPECIES
Mn 54.94 Mn.upf
O 16.00 O.upf
F 19.00 F.upf
CELL_PARAMETERS angstrom
4.7946 0.0000 0.0000
0.3102 5.7691 0.0000
0.1287 0.0195 15.8666
ATOMIC_POSITIONS angstrom
Mn 0.0000 0.0000 0.0000
Mn 0.3716 5.7460 5.1980
Mn 0.4358 5.6929 10.4413
Mn 0.4031 1.8319 2.7001
Mn 2.3561 2.6603 0.1300
Mn 2.5544 4.6283 2.7372
Mn 2.6344 4.6344 7.9626
Mn 2.7259 4.7008 13.3430
Mn 2.6111 2.8996 5.3593
Mn 2.6775 2.8297 10.7899
Mn 4.9160 1.7788 13.2494
Mn 4.8963 1.7812 7.9100
O 0.9935 1.4006 0.9425
O 1.1075 0.2813 14.1100
O 1.1147 0.2142 8.7000
O 1.1246 0.2310 3.5160
O 1.6041 3.1798 3.6797
O 3.5757 3.0808 7.0983
O 3.7031 3.1113 12.5084
F 1.1616 1.5544 11.5056
F 1.1824 1.5859 6.1588
F 1.4323 3.1589 14.1856
F 1.4055 4.2857 0.9616
F 1.4353 3.1141 9.0197
F 1.4988 4.4182 6.2824
F 1.6003 4.4550 11.5911
F 3.7115 4.4232 9.6924
F 3.8026 4.4773 15.1105
F 3.7674 4.4194 4.5038
F 3.5201 0.0602 1.7251
F 3.6967 3.0749 1.8953
F 3.7514 1.5466 14.8985
F 3.6688 0.2148 6.9308
F 3.7143 0.2344 12.2234
F 3.7939 1.5440 9.6441
F 3.8596 1.6250 4.3461
! - Symmetry: P1, No. 1
! - Final energy: -236.2 eV for the cell shown
! - DFT formation energy: -2548 meV per atom

=====

! Co6OF11 (PBE+U, optimized geometry); values from VASP
&SYSTEM
  ibrav = 0, nat = 18, ntyp = 3
/
ATOMIC_SPECIES
Co 58.93 Co.upf
O 16.00 O.upf
F 19.00 F.upf
CELL_PARAMETERS angstrom
3.2134 0.0000 0.0000
0.0000 10.1236 3.3045
0.0000 -10.1236 3.3045
ATOMIC_POSITIONS angstrom
Co 0.0000 0.0000 0.0000
Co 0.0000 -3.3716 3.1969
Co 0.0000 3.3716 3.1969
Co 1.6067 -6.7424 3.1696
Co 1.6067 0.0000 3.0403
Co 1.6067 6.7424 3.1696
O 0.0000 0.0000 1.8099
F 0.0000 -3.3783 1.1794
F 0.0000 3.3783 1.1794
F 0.0000 -3.4049 5.2098
F 0.0000 0.0000 4.5638
F 0.0000 3.4049 5.2098
F 1.6067 -8.7968 3.1621
F 1.6067 -4.6989 3.1936
F 1.6067 -2.0543 3.2096
F 1.6067 2.0543 3.2096
F 1.6067 4.6989 3.1935
F 1.6067 8.7968 3.1621
! - Symmetry: Amm2, No. 38
! - Final energy: -92.7 eV for the cell shown
! - DFT formation energy: -2203 meV per atom

=====

! Mn2ZnO4 (PBE+U, optimized geometry); values from VASP
&SYSTEM
  ibrav = 0, nat = 14, ntyp = 3
/
ATOMIC_SPECIES
Mn 54.94 Mn.upf
Zn 65.41 Zn.upf
O 16.00 O.upf
CELL_PARAMETERS angstrom
7.5215 -1.5023 0.0000
7.5215 1.5023 0.0000
-5.7263 0.0000 7.3600
ATOMIC_POSITIONS angstrom
Mn -0.6663 0.0000 3.2666
Mn 4.2888 0.0000 1.3461
Mn 5.0279 0.0000 6.0139
Mn 9.9830 0.0000 4.0934
Zn 1.5649 0.0000 1.4374
Zn 7.7518 0.0000 5.9226
O -3.5861 0.0000 5.5430
O -0.9780 0.0000 6.7652
O 1.2700 0.0000 4.9381
O 3.1293 0.0000 2.9526
O 6.1874 0.0000 4.4074
O 8.0467 0.0000 2.4220
O 10.2947 0.0000 0.5948
O 12.9028 0.0000 1.8170
! - Symmetry: C2/m, No. 12
! - Final energy: -91.4 eV for the cell shown
! - DFT formation energy: -1770 meV per atom

=====

! Ba5Fe3W2O15 (PBE+U, optimized geometry); values from VASP
&SYSTEM
  ibrav = 0, nat = 50, ntyp = 4
/
ATOMIC_SPECIES
Ba 137.33 Ba.upf
Fe 55.84 Fe.upf
W 183.84 W.upf
O 16.00 O.upf
CELL_PARAMETERS angstrom
-6.4872 6.4872 4.1228
6.4872 -6.4872 4.1228
6.4872 6.4872 -4.1228
ATOMIC_POSITIONS angstrom
Ba 5.2244 3.9715 -2.1237
Ba 2.5157 -1.2628 1.9992
Ba 6.4872 0.0000 2.0614
Ba 3.9715 7.7500 -2.1237
Ba 1.2628 2.5157 1.9992
Ba 5.2244 3.9715 2.1237
Ba 2.5157 -1.2628 6.2465
Ba 0.0000 6.4872 2.0614
Ba 3.9715 7.7500 2.1237
Ba 1.2628 2.5157 6.2465
Fe 0.0000 0.0000 0.0000
Fe 3.8404 1.3079 0.0000
Fe 5.1794 -2.6468 4.1228
Fe 0.0000 0.0000 4.1228
Fe 1.3079 9.1340 0.0000
Fe 2.6468 5.1794 4.1228
W 7.7764 2.5944 0.0000
W 2.5944 5.1981 0.0000
W 3.8928 1.2891 4.1228
W -1.2891 3.8928 4.1228
O 5.1957 -2.5856 1.9648
O 1.9611 0.6497 0.0000
O 8.3857 0.7350 0.0000
O 5.8376 -4.5261 4.1228
O 5.8985 1.9705 0.0000
O 9.0729 -1.2915 2.1580
O 9.6325 3.2300 0.0000
O 3.2300 3.3419 0.0000
O 0.0000 0.0000 2.1435
O 7.1527 4.4651 0.0000
O 0.7350 4.5888 0.0000
O 3.9016 1.2915 2.1580
O 7.7788 2.5856 1.9648
O 4.4651 5.8218 0.0000
O 4.5168 -0.5888 4.1228
O 1.9705 7.0760 0.0000
O 2.0222 0.6654 4.1228
O -1.2915 3.9016 2.1580
O 2.5856 5.1957 1.9648
O 5.7523 1.8985 4.1228
O -0.6654 2.0222 4.1228
O 0.0000 0.0000 6.1022
O 3.2572 3.1453 4.1228
O -3.1453 3.2572 4.1228
O -2.5856 7.7788 1.9648
O 0.5888 4.5168 4.1228
O 0.6497 11.0134 0.0000
O -1.8985 5.7523 4.1228
O 4.5261 5.8376 4.1228
O 1.2915 9.0729 2.1580
! - Symmetry: I4/m, No. 87
! - Final energy: -346.0 eV for the cell shown
! - DFT formation energy: -2553 meV per atom

=====

! Cr3P4O16 (PBE+U, optimized geometry); values from VASP
&SYSTEM
  ibrav = 0, nat = 69, ntyp = 3
/
ATOMIC_SPECIES
Cr 52.00 Cr.upf
P 30.97 P.upf
O 16.00 O.upf
CELL_PARAMETERS angstrom
7.7514 0.0000 0.0000
0.0568 8.7962 0.0000
0.1065 1.0491 13.1208
ATOMIC_POSITIONS angstrom
Cr 0.0000 0.0000 0.0000
Cr 0.0989 3.7459 8.8548
Cr 0.2721 6.2196 4.3898
Cr 1.1175 3.6349 0.0959
Cr 3.7836 8.0403 8.8130
Cr 3.8744 1.9467 4.5033
Cr 4.1051 4.5207 0.0774
Cr 5.0275 7.1007 4.4032
Cr 6.7860 8.9169 8.7866
P 1.5674 3.6438 5.9422
P 1.5971 1.1516 10.3091
P 1.6921 6.2790 1.5243
P 2.4310 5.4327 10.2545
P 2.4184 8.1247 5.9397
P 2.5446 1.8523 1.5748
P 5.2953 1.9098 7.3195
P 5.5869 8.1642 11.7424
P 5.5728 4.4548 2.9528
P 6.1903 6.2807 7.3631
P 6.3567 3.6592 11.6764
P 6.4751 8.8951 2.9356
O 0.5304 2.6058 5.4470
O 0.6177 8.9492 9.6974
O 0.6912 5.1662 0.9270
O 1.0242 5.2479 9.6854
O 1.0573 7.7886 5.3199
O 1.0945 7.6363 1.1663
O 1.0736 1.8407 0.8669
O 1.1549 5.0781 5.6048
O 1.1856 2.5991 9.9882
O 1.4817 3.4499 7.4800
O 1.5592 1.0027 11.8391
O 1.6729 6.1101 3.0492
O 2.3839 7.9530 7.4722
O 2.4218 5.2491 11.8873
O 2.4707 1.7797 3.1025
O 2.8057 0.7593 5.6134
O 2.8935 6.8844 10.0738
O 2.8362 3.3590 1.1330
O 2.9734 0.8142 9.7314
O 2.9824 3.4202 5.3765
O 3.0715 6.0352 0.9129
O 3.4781 4.4566 9.7445
O 3.4861 7.1325 5.3774
O 3.4586 0.7934 1.0426
O 4.4020 2.9746 7.8681
O 4.5504 9.1511 12.2542
O 4.5939 5.5902 3.5586
O 4.8124 6.5223 7.9448
O 4.9886 4.0023 12.2721
O 4.9493 3.1206 3.3454
O 4.9983 8.8952 3.6395
O 5.0603 9.1927 7.7511
O 5.1191 6.7180 11.9341
O 5.3721 1.9628 5.7919
O 5.5879 8.3382 10.1037
O 5.5202 4.6306 1.4279
O 6.2363 6.5083 5.7650
O 6.3880 3.8099 10.1467
O 6.3470 0.1784 1.4097
O 6.7505 2.2047 12.0168
O 6.7559 7.3840 3.3725
O 6.7735 1.9023 8.0187
O 6.8001 4.9230 7.6190
O 7.0062 8.3501 12.2758
O 6.9608 4.7005 3.5465
O 7.2006 7.3912 7.8987
O 7.4114 4.6419 12.2688
O 7.3320 1.1467 3.4840
! - Symmetry: P1, No. 1
! - Final energy: -497.2 eV for the cell shown
! - DFT formation energy: -2302 meV per atom

=====

! Li3NiAsCO7 (PBE+U, optimized geometry); values from VASP
&SYSTEM
  ibrav = 0, nat = 52, ntyp = 5
/
ATOMIC_SPECIES
Li 6.94 Li.upf
Ni 58.69 Ni.upf
As 74.92 As.upf
C 12.01 C.upf
O 16.00 O.upf
CELL_PARAMETERS angstrom
0.1876 -0.0003 5.0732
8.4992 6.5703 0.3797
-8.4990 6.5701 -0.3804
ATOMIC_POSITIONS angstrom
Li 0.9709 1.6422 3.9875
Li 0.9710 8.2128 3.9873
Li -0.7833 11.4982 1.0849
Li -0.7836 4.9277 1.0849
Li -6.1722 6.6951 0.9798
Li 2.3276 6.6946 1.3594
Li 2.3267 3.1610 1.3603
Li 2.3270 9.7318 1.3600
Li -2.1389 9.9798 3.7124
Li -2.1392 3.4088 3.7128
Li 6.3597 6.4455 4.0930
Li -2.1396 6.4453 3.7130
Ni -5.6220 4.9259 3.7630
Ni 5.8107 8.2130 1.3101
Ni 2.8748 4.9248 4.1429
Ni -2.6881 8.2117 0.9286
As -4.8203 8.2124 3.4341
As 3.6783 8.2123 3.8140
As 5.0081 4.9272 1.6385
As -3.4905 4.9281 1.2587
C 0.4101 4.9270 3.5089
C 0.4111 11.4981 3.5093
C -0.2220 8.2133 1.5635
C -0.2230 1.6427 1.5632
O 1.0199 1.6427 1.9394
O 1.0210 8.2130 1.9395
O -0.8322 11.4981 3.1329
O -0.8331 4.9279 3.1328
O 0.7495 4.9269 4.7604
O 0.7504 11.4983 4.7607
O -0.5616 8.2130 0.3119
O -0.5628 1.6426 0.3118
O 1.3634 4.9261 2.6195
O 1.3644 11.4979 2.6198
O -1.1754 8.2136 2.4529
O -1.1766 1.6429 2.4528
O -4.6523 8.2134 1.7099
O 3.8461 8.2129 2.0897
O 4.8399 4.9262 3.3629
O -3.6581 4.9281 2.9830
O 3.4246 4.9272 0.9961
O -5.0740 4.9285 0.6167
O -3.2367 8.2125 4.0760
O 5.2619 8.2121 4.4560
O -5.8395 6.9238 3.9567
O 2.6589 6.9239 4.3367
O 2.6585 2.9299 4.3380
O 2.6593 9.5007 4.3378
O -2.4707 10.2096 0.7347
O -2.4717 3.6395 0.7354
O 6.0274 6.2159 1.1159
O -2.4706 6.2159 0.7358
! - Final energy: -314.0 eV for the cell shown
! - DFT formation energy: -1986 meV per atom

=====

! Li3Mn4B4O12 (PBE+U, optimized geometry); values from VASP
&SYSTEM
  ibrav = 0, nat = 46, ntyp = 4
/
ATOMIC_SPECIES
Li 6.94 Li.upf
Mn 54.94 Mn.upf
B 10.81 B.upf
O 16.00 O.upf
CELL_PARAMETERS angstrom
5.2816 0.0000 0.0000
0.0615 9.1242 0.0000
0.2872 0.2544 10.3668
ATOMIC_POSITIONS angstrom
Li 0.0000 0.0000 0.0000
Li 0.3869 9.1565 5.0465
Li 2.1243 3.1718 7.8346
Li 2.9018 4.7998 10.2087
Li 3.0363 4.5337 5.1412
Li 4.6533 7.6894 2.6974
Mn 0.1046 6.0950 0.2512
Mn 0.3769 3.1308 5.4537
Mn 2.2041 9.2411 8.0965
Mn 2.0505 5.9100 2.7961
Mn 2.6505 1.4956 0.3262
Mn 2.9109 7.5777 5.4332
Mn 4.5515 1.7630 2.8707
Mn 4.7635 4.8732 7.9945
B 0.0484 3.1080 0.3048
B 0.2862 6.1895 5.4128
B 2.0562 6.2372 7.9935
B 2.0755 9.0725 2.9785
B 2.8094 7.5783 0.4035
B 2.9711 1.6019 5.4618
B 4.7632 1.7943 8.1881
B 4.7163 4.5571 2.9641
O 0.2534 3.4395 3.2616
O 0.7832 6.4117 8.4917
O 0.7136 9.1735 3.0441
O 1.3956 3.1073 0.1593
O 1.6534 6.0158 5.1133
O 2.3091 8.8780 10.2955
O 2.2786 0.4286 5.7776
O 2.1933 6.3439 0.6789
O 2.4166 2.8192 5.7383
O 2.6821 7.3417 7.3693
O 2.7205 5.0446 8.1500
O 2.7619 7.9069 3.4395
O 2.7985 0.9505 2.4318
O 3.3947 1.8237 8.5167
O 3.3860 4.4604 3.2046
O 4.1588 7.7367 0.6336
O 4.2714 1.5198 4.8943
O 4.8229 4.4247 10.2439
O 4.6774 1.9756 0.8806
O 4.8603 5.0641 5.8257
O 4.9502 7.4009 5.2776
O 5.3554 2.9116 7.5786
O 5.3038 5.7217 2.4729
O 5.5156 0.7080 8.4890
! - Symmetry: P1, No. 1
! - Final energy: -340.4 eV for the cell shown
! - DFT formation energy: -2464 meV per atom

=====

! Zr12Ti4Ni8O (PBE+U, optimized geometry); values from VASP
&SYSTEM
  ibrav = 0, nat = 25, ntyp = 4
/
ATOMIC_SPECIES
Zr 91.22 Zr.upf
Ti 47.87 Ti.upf
Ni 58.69 Ni.upf
O 16.00 O.upf
CELL_PARAMETERS angstrom
4.2067 2.4287 6.8671
-4.2067 2.4287 6.8671
0.0000 -4.8574 6.8671
ATOMIC_POSITIONS angstrom
Zr 0.0000 -1.8909 6.4105
Zr -1.6263 -0.9389 9.0299
Zr -1.6376 0.9455 6.4105
Zr -1.6376 -0.9455 14.1908
Zr 0.0000 -1.8779 11.5714
Zr -1.6263 0.9389 11.5714
Zr 1.6263 -0.9389 9.0299
Zr 0.0000 1.8779 9.0299
Zr 1.6376 0.9455 6.4105
Zr 1.6376 -0.9455 14.1908
Zr 1.6263 0.9389 11.5715
Zr 0.0000 1.8909 14.1908
Ti 0.0000 0.0000 0.0000
Ti -4.2066 0.0000 10.3007
Ti -2.1033 1.2144 3.4336
Ti 2.1033 1.2144 3.4336
Ni -2.8861 -1.6663 11.6958
Ni 0.0000 -3.3325 8.9056
Ni -2.8861 1.6663 8.9056
Ni 0.0000 0.0000 4.3142
Ni 0.0000 0.0000 16.2872
Ni 2.8861 -1.6663 11.6958
Ni 0.0000 3.3325 11.6958
Ni 2.8861 1.6663 8.9055
O 0.0000 0.0000 10.3007
! - Symmetry: R-3m, No. 166
! - Final energy: -158.6 eV for the cell shown
! - DFT formation energy: 230 meV per atom